Entry 1:
The following is a DFT calculation (r²SCAN) of an optimized crystal structure of CdAg3.

a = 9.648 Å, b = 9.648 Å, c = 9.648 Å
α = 17.70°, β = 17.70°, γ = 17.70°
Positions (direct):
1 Cd 0.000 0.000 0.000
2 Ag 0.248 0.248 0.248
3 Ag 0.500 0.500 0.500
4 Ag 0.752 0.752 0.752

V = 18.11 Å³/atom
ΔH_f (0 K) = -0.01 eV/atom
total magnetization = 0.00 μB/f.u.
theoretical density = 10.00 g/cm³
electronic total energy = -84.20 eV/cell

=====

Entry 2:
The following is a DFT calculation (r²SCAN) of an optimized crystal structure of K5Bi4.

a = 6.930 Å, b = 6.930 Å, c = 11.666 Å
α = 70.72°, β = 70.72°, γ = 47.63°
Positions (direct):
1 K 0.746 0.746 0.667
2 K 0.258 0.258 0.336
3 K 0.405 0.405 0.888
4 K 0.595 0.595 0.114
5 K 0.506 0.506 0.498
6 Bi 0.044 0.044 0.672
7 Bi 0.956 0.956 0.331
8 Bi 0.110 0.110 0.894
9 Bi 0.891 0.891 0.110

V = 42.89 Å³/atom
ΔH_f (0 K) = -0.48 eV/atom
total magnetization = 0.00 μB/f.u.
theoretical density = 4.44 g/cm³
electronic total energy = -268.46 eV/cell

=====

Entry 3:
The following is a DFT calculation (r²SCAN) of an optimized crystal structure of Cs4Fe3F10.

a = 7.826 Å, b = 7.826 Å, c = 13.937 Å
α = 90.00°, β = 90.00°, γ = 132.71°
Positions (direct):
1 Cs 0.256 0.744 0.391
2 Cs 0.244 0.756 0.891
3 Cs 0.539 0.461 0.861
4 Cs 0.744 0.256 0.609
5 Cs 0.039 0.961 0.639
6 Cs 0.961 0.039 0.361
7 Cs 0.756 0.244 0.109
8 Cs 0.461 0.539 0.139
9 Fe 0.377 0.623 0.652
10 Fe 0.623 0.377 0.348
11 Fe 0.123 0.877 0.152
12 Fe 0.500 0.500 0.500
13 Fe 0.877 0.123 0.848
14 Fe 0.000 0.000 0.000
15 F 0.757 0.243 0.356
16 F 0.977 0.023 0.144
17 F 0.116 0.313 0.968
18 F 0.187 0.384 0.532
19 F 0.243 0.757 0.644
20 F 0.813 0.616 0.468
21 F 0.743 0.257 0.856
22 F 0.884 0.687 0.032
23 F 0.313 0.116 0.032
24 F 0.867 0.633 0.250
25 F 0.633 0.867 0.750
26 F 0.023 0.977 0.856
27 F 0.687 0.884 0.968
28 F 0.384 0.187 0.468
29 F 0.616 0.813 0.532
30 F 0.477 0.523 0.356
31 F 0.257 0.743 0.144
32 F 0.523 0.477 0.644
33 F 0.133 0.367 0.750
34 F 0.367 0.133 0.250

V = 18.45 Å³/atom
ΔH_f (0 K) = -2.61 eV/atom
total magnetization = 8.00 μB/f.u.
theoretical density = 4.71 g/cm³
electronic total energy = -438.55 eV/cell

=====

Entry 4:
The following is a DFT calculation (r²SCAN) of an optimized crystal structure of YBe13.

a = 7.219 Å, b = 7.219 Å, c = 7.219 Å
α = 60.00°, β = 60.00°, γ = 60.00°
Positions (direct):
1 Y 0.750 0.750 0.750
2 Y 0.250 0.250 0.250
3 Be 0.500 0.500 0.500
4 Be 0.000 0.000 0.000
5 Be 0.790 0.437 0.210
6 Be 0.210 0.563 0.790
7 Be 0.563 0.210 0.437
8 Be 0.437 0.790 0.563
9 Be 0.290 0.063 0.710
10 Be 0.710 0.937 0.290
11 Be 0.937 0.710 0.063
12 Be 0.063 0.290 0.937
13 Be 0.437 0.210 0.790
14 Be 0.563 0.790 0.210
15 Be 0.210 0.437 0.563
16 Be 0.790 0.563 0.437
17 Be 0.063 0.710 0.290
18 Be 0.937 0.290 0.710
19 Be 0.710 0.063 0.937
20 Be 0.290 0.937 0.063
21 Be 0.210 0.790 0.437
22 Be 0.790 0.210 0.563
23 Be 0.437 0.563 0.210
24 Be 0.563 0.437 0.790
25 Be 0.710 0.290 0.063
26 Be 0.290 0.710 0.937
27 Be 0.063 0.937 0.710
28 Be 0.937 0.063 0.290

V = 9.50 Å³/atom
ΔH_f (0 K) = -0.20 eV/atom
total magnetization = 0.00 μB/f.u.
theoretical density = 2.57 g/cm³
electronic total energy = -159.01 eV/cell

=====

Entry 5:
The following is a DFT calculation (r²SCAN) of an optimized crystal structure of PrCuO2.

a = 6.078 Å, b = 6.078 Å, c = 6.078 Å
α = 36.32°, β = 36.32°, γ = 36.32°
Positions (direct):
1 Pr 0.500 0.500 0.500
2 Cu 0.000 0.000 0.000
3 O 0.894 0.894 0.894
4 O 0.106 0.106 0.106

V = 17.62 Å³/atom
ΔH_f (0 K) = -2.43 eV/atom
total magnetization = 0.00 μB/f.u.
theoretical density = 5.57 g/cm³
electronic total energy = -61.93 eV/cell

=====

Entry 6:
The following is a DFT calculation (r²SCAN) of an optimized crystal structure of Gd2CrSbO7.

a = 7.259 Å, b = 7.259 Å, c = 7.259 Å
α = 120.01°, β = 119.61°, γ = 90.33°
Positions (direct):
1 Gd 0.500 0.000 0.000
2 Gd 0.500 0.500 0.500
3 Gd 0.500 0.000 0.500
4 Gd 0.000 0.000 0.000
5 Cr 0.000 0.500 0.000
6 Cr 0.000 0.000 0.500
7 Sb 0.000 0.500 0.500
8 Sb 0.500 0.500 0.000
9 O 0.914 0.164 0.750
10 O 0.329 0.579 0.750
11 O 0.915 0.576 0.743
12 O 0.333 0.172 0.757
13 O 0.915 0.172 0.339
14 O 0.333 0.576 0.161
15 O 0.086 0.836 0.250
16 O 0.671 0.421 0.250
17 O 0.085 0.424 0.257
18 O 0.667 0.828 0.243
19 O 0.085 0.828 0.661
20 O 0.667 0.424 0.839
21 O 0.622 0.872 0.750
22 O 0.378 0.128 0.250

V = 12.33 Å³/atom
ΔH_f (0 K) = -2.87 eV/atom
total magnetization = 11.00 μB/f.u.
theoretical density = 7.35 g/cm³
electronic total energy = -401.97 eV/cell

=====

Entry 7:
The following is a DFT calculation (r²SCAN) of an optimized crystal structure of Ce2CrN3.

a = 3.462 Å, b = 3.815 Å, c = 6.758 Å
α = 106.39°, β = 104.84°, γ = 90.00°
Positions (direct):
1 Ce 0.646 0.646 0.292
2 Ce 0.354 0.354 0.708
3 Cr 0.000 0.000 0.000
4 N 0.835 0.835 0.669
5 N 0.165 0.165 0.331
6 N 0.000 0.500 0.000

V = 13.75 Å³/atom
ΔH_f (0 K) = -1.48 eV/atom
total magnetization = 3.10 μB/f.u.
theoretical density = 7.53 g/cm³
electronic total energy = -113.00 eV/cell

=====

Entry 8:
The following is a DFT calculation (r²SCAN) of an optimized crystal structure of BaO10.

a = 6.058 Å, b = 6.058 Å, c = 9.493 Å
α = 90.00°, β = 90.00°, γ = 90.00°
Positions (direct):
1 Ba 0.000 0.000 0.250
2 Ba 0.000 0.000 0.750
3 O 0.500 0.500 0.315
4 O 0.500 0.500 0.815
5 O 0.500 0.500 0.685
6 O 0.500 0.500 0.185
7 O 0.074 0.348 0.433
8 O 0.926 0.652 0.433
9 O 0.652 0.074 0.433
10 O 0.348 0.926 0.433
11 O 0.926 0.348 0.933
12 O 0.074 0.652 0.933
13 O 0.348 0.074 0.933
14 O 0.652 0.926 0.933
15 O 0.926 0.652 0.567
16 O 0.074 0.348 0.567
17 O 0.348 0.926 0.567
18 O 0.652 0.074 0.567
19 O 0.074 0.652 0.067
20 O 0.926 0.348 0.067
21 O 0.652 0.926 0.067
22 O 0.348 0.074 0.067

V = 15.84 Å³/atom
ΔH_f (0 K) = -0.39 eV/atom
total magnetization = 4.00 μB/f.u.
theoretical density = 2.83 g/cm³
electronic total energy = -181.09 eV/cell